The following is a DFT calculation (GGA+U) of an optimized crystal structure of V2O5.

Calculated values
Final energy (eV/atom): -7.281
Symmetry: No. 1
ΔE_f (meV per atom): -1752
MP2020-corrected energy (eV for the cell shown): -827.535

a = 12.8531 Å, b = 12.6230 Å, c = 11.8820 Å
α = 96.88°, β = 94.11°, γ = 88.05°
With the nearest neighbours (Å) after each atom.
Positions (direct):
1 V 0.0597 0.0280 0.1103  2 O 1.61-1.76
2 V 0.9741 0.7270 0.7519  3 O 1.62-1.81
3 V 0.9752 0.0880 0.7597  4 O 1.76-1.91
4 V 0.7485 0.1006 0.2990  2 O 1.61-1.78
5 V 0.8476 0.9561 0.9614  4 O 1.69-1.78
6 V 0.2167 0.5941 0.8758  1 O 1.72
7 V 0.3230 0.6668 0.0921  1 O 1.60
8 V 0.5687 0.9796 0.3685  1 O 1.62
9 V 0.6890 0.6085 0.5442  2 O 1.60-1.75
10 V 0.0384 0.6601 0.0725  3 O 1.74-1.95
11 V 0.6074 0.2033 0.5268  4 O 1.70-1.78
12 V 0.0559 0.7819 0.3418  3 O 1.62-1.80
13 V 0.2584 0.8696 0.9910  4 O 1.69-1.83
14 V 0.2793 0.0709 0.8164  2 O 1.61-1.73
15 V 0.9430 0.5979 0.4940  2 O 1.63-1.76
16 V 0.0542 0.2406 0.2950  2 O 1.61-1.80
17 V 0.1391 0.9926 0.5444  1 O 1.60
18 V 0.3673 0.1317 0.2873  2 O 1.64-1.69
19 V 0.3723 0.6395 0.6519  3 O 1.73-1.87
20 V 0.7469 0.2557 0.7909  2 O 1.60-1.78
21 V 0.4791 0.5526 0.8644  2 O 1.61-1.70
22 V 0.3636 0.8332 0.5712  4 O 1.71-1.80
23 V 0.2964 0.4162 0.6826  2 O 1.60-1.79
24 V 0.6681 0.1520 0.0296  2 O 1.61-1.80
25 V 0.6253 0.8781 0.6178  2 O 1.63-1.72
26 V 0.1448 0.4788 0.4424  2 O 1.65-1.72
27 V 0.9691 0.4497 0.1922  2 O 1.62-1.72
28 V 0.7312 0.7465 0.8177  2 O 1.63-1.66
29 V 0.4786 0.4488 0.4584  3 O 1.74-1.87
30 V 0.2936 0.3454 0.2731  2 O 1.62-1.79
31 O 0.1648 0.3223 0.3461  2 V 1.81-1.97
32 O 0.1474 0.9154 0.0631  2 V 1.76-1.84
33 O 0.9825 0.5371 0.0757  2 V 1.74-1.89
34 O 0.1856 0.6292 0.0463  3 V 1.87-2.09
35 O 0.7239 0.5173 0.6230  1 V 1.60
36 O 0.3887 0.1268 0.8055  1 V 1.61
37 O 0.4281 0.4397 0.7915  1 V 1.70
38 O 0.9642 0.7060 0.3955  2 V 1.75-1.94
39 O 0.5454 0.3250 0.5037  2 V 1.75-1.87
40 O 0.0660 0.1157 0.0235  1 V 1.61
41 O 0.8179 0.8260 0.9482  1 V 1.69
42 O 0.7232 0.1717 0.1745  2 V 1.81-1.82
43 O 0.2607 0.5005 0.3989  1 V 1.65
44 O 0.4271 0.4040 0.3222  2 V 1.74-1.92
45 O 0.7957 0.6285 0.4668  2 V 1.75-1.93
46 O 0.4838 0.6367 0.7433  2 V 1.74-1.89
47 O 0.5022 0.0767 0.2862  2 V 1.81-1.85
48 O 0.6587 0.9213 0.4935  1 V 1.72
49 O 0.8525 0.4685 0.2349  1 V 1.62
50 O 0.9278 0.9790 0.0903  2 V 1.78-1.81
51 O 0.1817 0.1752 0.8610  1 O 1.40
52 O 0.0220 0.0224 0.6334  2 V 1.76-1.90
53 O 0.2852 0.0341 0.2803  1 V 1.64
54 O 0.0984 0.6000 0.5042  1 V 1.72
55 O 0.3489 0.2258 0.3986  1 V 1.69
56 O 0.3041 0.9720 0.9251  2 V 1.73-1.91
57 O 0.3699 0.6036 0.9578  2 V 1.83-1.90
58 O 0.7269 0.0253 0.9758  2 V 1.76-1.81
59 O 0.0597 0.8024 0.7091  1 V 1.62
60 O 0.3786 0.6233 0.2029  1 V 1.60
61 O 0.7029 0.2388 0.9299  2 V 1.80-1.82
62 O 0.2224 0.4601 0.8276  1 V 1.72
63 O 0.5705 0.5541 0.4632  2 V 1.80-1.85
64 O 0.1900 0.4246 0.5784  2 V 1.79-1.88
65 O 0.1702 0.7245 0.3488  1 V 1.62
66 O 0.3162 0.2899 0.6716  1 V 1.60
67 O 0.4832 0.8983 0.6082  2 V 1.77-1.83
68 O 0.6849 0.9760 0.2846  2 V 1.78-1.85
69 O 0.0598 0.4962 0.2978  1 V 1.72
70 O 0.9461 0.6169 0.6433  2 V 1.76-1.81
71 O 0.6673 0.7367 0.6415  2 V 1.89-1.90
72 O 0.7688 0.3799 0.7916  1 V 1.60
73 O 0.5433 0.1418 0.0266  1 V 1.61
74 O 0.9995 0.3062 0.1773  2 V 1.80-1.83
75 O 0.6160 0.7792 0.8678  1 V 1.66
76 O 0.4983 0.8751 0.3373  1 V 1.62
77 O 0.8707 0.0695 0.3148  1 V 1.61
78 O 0.2503 0.4177 0.1750  1 V 1.62
79 O 0.8566 0.7951 0.7433  1 V 1.71
80 O 0.3438 0.8077 0.0954  2 V 1.80-1.83
81 O 0.3890 0.6967 0.5163  2 V 1.80-1.87
82 O 0.8646 0.1826 0.7609  2 V 1.78-1.82
83 O 0.1543 0.1023 0.4932  1 V 1.60
84 O 0.0261 0.7665 0.1806  2 V 1.76-1.91
85 O 0.0750 0.0979 0.2474  2 V 1.76-1.84
86 O 0.2241 0.0123 0.6883  1 V 1.73
87 O 0.9236 0.9959 0.8578  2 V 1.75-1.91
88 O 0.9471 0.4681 0.4661  1 V 1.63
89 O 0.0675 0.9091 0.4270  2 V 1.80-1.85
90 O 0.3203 0.2246 0.1828  2 V 1.79-1.86
91 O 0.3317 0.7901 0.6958  1 V 1.72
92 O 0.7082 0.1772 0.4308  2 V 1.78-1.84
93 O 0.2671 0.6069 0.7229  1 V 1.73
94 O 0.9746 0.2558 0.3943  1 V 1.61
95 O 0.6554 0.2127 0.6705  2 V 1.76-1.83
96 O 0.0807 0.1796 0.8091  1 O 1.40
97 O 0.2293 0.7626 0.8962  1 V 1.69
98 O 0.5339 0.0923 0.5003  1 V 1.70
99 O 0.2641 0.9015 0.5053  1 V 1.71
100 O 0.3899 0.4924 0.5840  3 V 1.95-2.07
101 O 0.6789 0.9548 0.7246  1 V 1.63
102 O 0.7631 0.6248 0.8410  1 V 1.63
103 O 0.0657 0.6220 0.8420  1 O 1.48
104 O 0.5862 0.5237 0.9335  1 V 1.61
105 O 0.0124 0.7023 0.9206  1 O 1.48